[1]
{"formula": "SbXeO2F7", "functional": "PBE", "state": "relaxed", "lattice": [[9.227, 0.000, 0.000], [-0.400, 9.226, 0.000], [-0.431, -0.435, 9.224]], "species": ["Sb", "Sb", "Sb", "Sb", "Xe", "Xe", "Xe", "Xe", "O", "O", "O", "O", "O", "O", "O", "O", "F", "F", "F", "F", "F", "F", "F", "F", "F", "F", "F", "F", "F", "F", "F", "F", "F", "F", "F", "F", "F", "F", "F", "F", "F", "F", "F", "F"], "fractional_positions": [[0.000, 0.000, 0.000], [0.058, 0.378, 0.591], [0.467, 0.322, 0.214], [0.680, 0.787, 0.533], [0.155, 0.910, 0.456], [0.523, 0.861, 0.064], [0.590, 0.242, 0.689], [0.923, 0.476, 0.122], [0.162, 0.719, 0.390], [0.331, 0.000, 0.418], [0.347, 0.799, 0.133], [0.399, 0.176, 0.696], [0.487, 0.915, 0.877], [0.680, 0.205, 0.865], [0.856, 0.483, 0.932], [0.884, 0.651, 0.212], [0.001, 0.403, 0.388], [0.019, 0.574, 0.639], [0.031, 0.802, 0.957], [0.048, 0.970, 0.207], [0.083, 0.175, 0.534], [0.106, 0.339, 0.787], [0.139, 0.515, 0.097], [0.195, 0.884, 0.671], [0.197, 0.056, 0.975], [0.254, 0.426, 0.552], [0.274, 0.260, 0.250], [0.424, 0.350, 0.015], [0.440, 0.518, 0.269], [0.481, 0.745, 0.564], [0.511, 0.119, 0.163], [0.531, 0.279, 0.409], [0.564, 0.458, 0.728], [0.598, 0.661, 0.015], [0.630, 0.831, 0.333], [0.650, 0.994, 0.581], [0.673, 0.367, 0.183], [0.717, 0.594, 0.473], [0.736, 0.761, 0.730], [0.800, 0.950, 0.044], [0.854, 0.321, 0.616], [0.877, 0.851, 0.493], [0.940, 0.037, 0.807], [0.960, 0.197, 0.064]], "space_group": "No. 1", "volume_a3_per_cell": 785.3, "total_energy_ev_per_cell": -154.05}

---

[2]
{"formula": "ScOF", "functional": "PBE", "state": "relaxed", "lattice": [[5.340, 0.000, 0.000], [0.000, 4.938, 0.000], [-0.046, 0.000, 5.816]], "species": ["Sc", "Sc", "Sc", "Sc", "O", "O", "O", "O", "F", "F", "F", "F"], "fractional_positions": [[0.218, 0.016, 0.329], [0.218, 0.484, 0.829], [0.782, 0.516, 0.171], [0.782, 0.984, 0.671], [0.080, 0.222, 0.604], [0.080, 0.278, 0.104], [0.920, 0.722, 0.896], [0.920, 0.778, 0.396], [0.425, 0.726, 0.118], [0.425, 0.774, 0.618], [0.575, 0.226, 0.382], [0.575, 0.274, 0.882]], "space_group": "No. 14", "volume_a3_per_cell": 153.4, "total_energy_ev_per_cell": -97.12}

---

[3]
{"formula": "ScOF", "functional": "PBE", "state": "relaxed", "lattice": [[3.628, 0.000, 0.000], [0.000, 3.628, 0.000], [0.000, 0.000, 5.172]], "species": ["Sc", "Sc", "O", "O", "F", "F"], "fractional_positions": [[0.250, 0.250, 0.206], [0.750, 0.750, 0.794], [0.250, 0.750, 0.000], [0.750, 0.250, 0.000], [0.250, 0.750, 0.500], [0.750, 0.250, 0.500]], "space_group": "No. 129", "volume_a3_per_cell": 68.1, "total_energy_ev_per_cell": -48.34}

---

[4]
{"formula": "ScOF", "functional": "PBE", "state": "relaxed", "lattice": [[5.232, 0.000, 0.000], [0.000, 5.190, 0.000], [-0.904, 0.000, 5.210]], "species": ["Sc", "Sc", "Sc", "Sc", "O", "O", "O", "O", "F", "F", "F", "F"], "fractional_positions": [[0.191, 0.026, 0.288], [0.191, 0.474, 0.788], [0.809, 0.526, 0.212], [0.809, 0.974, 0.712], [0.042, 0.746, 0.512], [0.042, 0.754, 0.012], [0.958, 0.246, 0.988], [0.958, 0.254, 0.488], [0.444, 0.175, 0.658], [0.444, 0.325, 0.158], [0.556, 0.675, 0.842], [0.556, 0.825, 0.342]], "space_group": "No. 14", "volume_a3_per_cell": 141.5, "total_energy_ev_per_cell": -97.69}

---

[5]
{"formula": "SeOF2", "functional": "PBE", "state": "relaxed", "lattice": [[5.775, 0.000, 0.000], [0.000, 7.825, 0.000], [0.000, 0.000, 6.356]], "species": ["Se", "Se", "Se", "Se", "O", "O", "O", "O", "F", "F", "F", "F", "F", "F", "F", "F"], "fractional_positions": [[0.044, 0.190, 0.000], [0.456, 0.190, 0.500], [0.544, 0.810, 0.000], [0.956, 0.810, 0.500], [0.246, 0.097, 0.629], [0.254, 0.097, 0.129], [0.746, 0.903, 0.629], [0.754, 0.903, 0.129], [0.128, 0.730, 0.713], [0.159, 0.395, 0.949], [0.341, 0.395, 0.449], [0.372, 0.730, 0.213], [0.628, 0.270, 0.713], [0.659, 0.605, 0.949], [0.841, 0.605, 0.449], [0.872, 0.270, 0.213]], "e_ij_max_c_m2": 0.60, "space_group": "No. 29", "volume_a3_per_cell": 287.2, "total_energy_ev_per_cell": -71.01}

---

[6]
{"formula": "Tb2SeOF2", "functional": "PBE", "state": "relaxed", "lattice": [[13.487, 0.000, 0.000], [-6.744, 11.680, 0.000], [0.000, 0.000, 3.767]], "species": ["Tb", "Tb", "Tb", "Tb", "Tb", "Tb", "Tb", "Tb", "Tb", "Tb", "Tb", "Tb", "Se", "Se", "Se", "Se", "Se", "Se", "O", "O", "O", "O", "O", "O", "F", "F", "F", "F", "F", "F", "F", "F", "F", "F", "F", "F"], "fractional_positions": [[0.055, 0.766, 0.250], [0.117, 0.515, 0.250], [0.234, 0.289, 0.250], [0.289, 0.055, 0.750], [0.398, 0.883, 0.250], [0.485, 0.602, 0.250], [0.515, 0.398, 0.750], [0.602, 0.117, 0.750], [0.711, 0.945, 0.250], [0.766, 0.711, 0.750], [0.883, 0.485, 0.750], [0.945, 0.234, 0.750], [0.206, 0.719, 0.750], [0.281, 0.487, 0.750], [0.487, 0.206, 0.250], [0.513, 0.794, 0.750], [0.719, 0.513, 0.250], [0.794, 0.281, 0.250], [0.014, 0.427, 0.750], [0.412, 0.986, 0.750], [0.427, 0.412, 0.250], [0.573, 0.588, 0.750], [0.588, 0.014, 0.250], [0.986, 0.573, 0.250], [0.067, 0.314, 0.250], [0.101, 0.894, 0.750], [0.106, 0.207, 0.750], [0.207, 0.101, 0.250], [0.247, 0.933, 0.250], [0.314, 0.247, 0.750], [0.686, 0.753, 0.250], [0.753, 0.067, 0.750], [0.793, 0.899, 0.750], [0.894, 0.793, 0.250], [0.899, 0.106, 0.250], [0.933, 0.686, 0.750]], "space_group": "No. 176", "volume_a3_per_cell": 593.5, "total_energy_ev_per_cell": -251.43}

---

[7]
{"formula": "TmSeO3F", "functional": "PBE", "state": "relaxed", "lattice": [[6.588, 0.000, 0.000], [0.000, 6.926, 0.000], [-1.036, 0.000, 7.086]], "species": ["Tm", "Tm", "Tm", "Tm", "Se", "Se", "Se", "Se", "O", "O", "O", "O", "O", "O", "O", "O", "O", "O", "O", "O", "F", "F", "F", "F"], "fractional_positions": [[0.138, 0.141, 0.325], [0.138, 0.359, 0.825], [0.862, 0.641, 0.175], [0.862, 0.859, 0.675], [0.352, 0.620, 0.290], [0.352, 0.880, 0.790], [0.648, 0.120, 0.210], [0.648, 0.380, 0.710], [0.172, 0.030, 0.647], [0.172, 0.470, 0.147], [0.174, 0.692, 0.779], [0.174, 0.808, 0.279], [0.482, 0.186, 0.361], [0.482, 0.314, 0.861], [0.518, 0.686, 0.139], [0.518, 0.814, 0.639], [0.826, 0.192, 0.721], [0.826, 0.308, 0.221], [0.828, 0.530, 0.853], [0.828, 0.970, 0.353], [0.165, 0.120, 0.026], [0.165, 0.380, 0.526], [0.835, 0.620, 0.474], [0.835, 0.880, 0.974]], "space_group": "No. 14", "volume_a3_per_cell": 323.3, "total_energy_ev_per_cell": -156.69}

---

[8]
{"formula": "Y4Si3O11F2", "functional": "PBE", "state": "relaxed", "lattice": [[6.563, 0.000, 0.000], [3.257, 5.840, 0.000], [0.987, 0.099, 13.392]], "species": ["Y", "Y", "Y", "Y", "Y", "Y", "Y", "Y", "Si", "Si", "Si", "Si", "Si", "Si", "O", "O", "O", "O", "O", "O", "O", "O", "O", "O", "O", "O", "O", "O", "O", "O", "O", "O", "O", "O", "O", "O", "F", "F", "F", "F"], "fractional_positions": [[0.060, 0.226, 0.473], [0.180, 0.193, 0.170], [0.219, 0.713, 0.029], [0.323, 0.880, 0.703], [0.677, 0.120, 0.297], [0.781, 0.287, 0.971], [0.820, 0.807, 0.830], [0.940, 0.774, 0.527], [0.234, 0.653, 0.283], [0.268, 0.230, 0.921], [0.491, 0.751, 0.435], [0.509, 0.249, 0.565], [0.732, 0.770, 0.079], [0.766, 0.347, 0.717], [0.006, 0.216, 0.644], [0.016, 0.437, 0.887], [0.174, 0.095, 0.007], [0.204, 0.823, 0.187], [0.253, 0.404, 0.519], [0.266, 0.838, 0.520], [0.314, 0.390, 0.253], [0.406, 0.340, 0.978], [0.422, 0.046, 0.833], [0.445, 0.999, 0.387], [0.465, 0.599, 0.348], [0.535, 0.401, 0.652], [0.555, 0.001, 0.613], [0.578, 0.954, 0.167], [0.594, 0.660, 0.022], [0.686, 0.610, 0.747], [0.734, 0.162, 0.480], [0.747, 0.596, 0.481], [0.796, 0.177, 0.813], [0.826, 0.905, 0.993], [0.984, 0.563, 0.113], [0.994, 0.784, 0.356], [0.037, 0.768, 0.686], [0.202, 0.762, 0.855], [0.798, 0.238, 0.145], [0.963, 0.232, 0.314]], "space_group": "No. 2", "volume_a3_per_cell": 513.2, "total_energy_ev_per_cell": -335.14}

---

The calculation returns the following formation enthalpy at 0 K values, one per record and in order: -1.423; -4.078; -4.042; -4.126; -1.773; -3.662; -2.827; -3.783 eV/atom.